Record 1
{
  "formula": "La6Al4Fe9As",
  "functional": "PBE",
  "state": "optimized geometry",
  "formation_enthalpy_0k_ev_per_atom": -0.33,
  "total_magnetization_mub_per_cell": 31.800,
  "lattice_angstrom": [[-2.257, 7.268, -2.951], [-5.945, 0.418, 5.578], [11.565, 1.541, 6.238]],
  "species": ["La", "La", "La", "La", "La", "La", "La", "La", "La", "La", "La", "La", "Al", "Al", "Al", "Al", "Al", "Al", "Al", "Al", "Fe", "Fe", "Fe", "Fe", "Fe", "Fe", "Fe", "Fe", "Fe", "Fe", "Fe", "Fe", "Fe", "Fe", "Fe", "Fe", "Fe", "Fe", "As", "As"],
  "fractional_positions": [[0.105, 0.105, 0.211], [0.895, 0.895, 0.789], [0.395, 0.395, 0.789], [0.605, 0.605, 0.211], [0.356, 0.856, 0.378], [0.644, 0.144, 0.622], [0.022, 0.522, 0.378], [0.522, 0.356, 0.378], [0.144, 0.978, 0.622], [0.978, 0.478, 0.622], [0.478, 0.644, 0.622], [0.856, 0.022, 0.378], [0.710, 0.210, 0.183], [0.290, 0.790, 0.817], [0.473, 0.973, 0.183], [0.973, 0.710, 0.183], [0.790, 0.527, 0.817], [0.527, 0.027, 0.817], [0.027, 0.290, 0.817], [0.210, 0.473, 0.183], [0.067, 0.211, 0.000], [0.933, 0.789, 0.000], [0.789, 0.067, 0.000], [0.433, 0.711, 0.000], [0.211, 0.933, 0.000], [0.567, 0.289, 0.000], [0.711, 0.567, 0.000], [0.289, 0.433, 0.000], [0.000, 0.500, 0.000], [0.500, 0.000, 0.000], [0.232, 0.732, 0.111], [0.768, 0.268, 0.889], [0.880, 0.380, 0.111], [0.380, 0.232, 0.111], [0.268, 0.120, 0.889], [0.120, 0.620, 0.889], [0.620, 0.768, 0.889], [0.732, 0.880, 0.111], [0.250, 0.250, 0.500], [0.750, 0.750, 0.500]]
}

---

Record 2
{
  "formula": "La6Al3Fe10As",
  "functional": "PBE",
  "state": "optimized geometry",
  "formation_enthalpy_0k_ev_per_atom": -0.28,
  "total_magnetization_mub_per_cell": 35.900,
  "lattice_angstrom": [[8.125, 0.032, 0.000], [0.032, 8.125, 0.000], [4.079, 4.079, 11.663]],
  "species": ["La", "La", "La", "La", "La", "La", "La", "La", "La", "La", "La", "La", "Al", "Al", "Al", "Al", "Al", "Al", "Fe", "Fe", "Fe", "Fe", "Fe", "Fe", "Fe", "Fe", "Fe", "Fe", "Fe", "Fe", "Fe", "Fe", "Fe", "Fe", "Fe", "Fe", "Fe", "Fe", "As", "As"],
  "fractional_positions": [[0.893, 0.893, 0.214], [0.393, 0.393, 0.214], [0.107, 0.107, 0.786], [0.607, 0.607, 0.786], [0.991, 0.131, 0.378], [0.631, 0.491, 0.378], [0.155, 0.655, 0.369], [0.476, 0.976, 0.369], [0.021, 0.860, 0.620], [0.360, 0.521, 0.620], [0.865, 0.365, 0.613], [0.522, 0.022, 0.613], [0.024, 0.524, 0.187], [0.789, 0.289, 0.187], [0.715, 0.973, 0.813], [0.473, 0.215, 0.813], [0.974, 0.474, 0.815], [0.211, 0.711, 0.815], [0.070, 0.789, 0.003], [0.927, 0.209, 0.003], [0.431, 0.290, 0.001], [0.569, 0.710, 0.001], [0.790, 0.931, 0.001], [0.210, 0.069, 0.001], [0.289, 0.570, 0.003], [0.709, 0.427, 0.003], [0.122, 0.258, 0.120], [0.758, 0.622, 0.120], [0.270, 0.770, 0.115], [0.615, 0.115, 0.115], [0.880, 0.728, 0.892], [0.228, 0.380, 0.892], [0.733, 0.233, 0.885], [0.382, 0.882, 0.885], [0.998, 0.498, 0.004], [0.501, 0.001, 0.997], [0.293, 0.022, 0.186], [0.522, 0.793, 0.186], [0.750, 0.750, 0.500], [0.250, 0.250, 0.500]]
}

---

Record 3
{
  "formula": "AlGaAs2",
  "functional": "PBE",
  "state": "optimized geometry",
  "formation_enthalpy_0k_ev_per_atom": -0.41,
  "lattice_angstrom": [[-0.730, 0.882, 6.933], [-3.860, -1.391, 5.704], [-0.226, -3.096, 6.304]],
  "species": ["Al", "Ga", "As", "As"],
  "fractional_positions": [[0.000, 0.000, 0.000], [0.500, 0.500, 0.500], [0.125, 0.125, 0.125], [0.625, 0.625, 0.625]]
}

---

Record 4
{
  "formula": "KAlAs2O7",
  "functional": "PBE",
  "state": "optimized geometry",
  "formation_enthalpy_0k_ev_per_atom": -2.22,
  "total_magnetization_mub_per_cell": 0.000,
  "lattice_angstrom": [[6.306, 0.000, 0.000], [-1.383, 6.239, 0.000], [-2.095, -1.474, 7.921]],
  "species": ["K", "K", "Al", "Al", "As", "As", "As", "As", "O", "O", "O", "O", "O", "O", "O", "O", "O", "O", "O", "O", "O", "O"],
  "fractional_positions": [[0.000, 0.000, 0.500], [0.000, 0.000, 0.000], [0.625, 0.311, 0.772], [0.375, 0.689, 0.228], [0.175, 0.470, 0.812], [0.825, 0.530, 0.188], [0.512, 0.756, 0.664], [0.488, 0.244, 0.336], [0.906, 0.313, 0.723], [0.094, 0.687, 0.277], [0.338, 0.289, 0.816], [0.662, 0.711, 0.184], [0.218, 0.649, 0.990], [0.782, 0.351, 0.010], [0.222, 0.637, 0.655], [0.778, 0.363, 0.345], [0.414, 0.990, 0.221], [0.586, 0.010, 0.779], [0.459, 0.248, 0.533], [0.541, 0.752, 0.467], [0.320, 0.381, 0.220], [0.680, 0.619, 0.780]]
}